A relaxed structure of Mg2CrN3, computed with PBE-GGA.

Cell: 5.7686 5.7686 5.0230 Å, 90.00 90.00 119.63°
Last column: nearest neighbours and their distance in Å.
Sites, in units of the cell vectors:
N 0.6671 0.9654 0.0999  1 Cr 1.76
N 0.0346 0.3329 0.5999  1 Cr 1.76
N 0.3329 0.0346 0.5999  1 Cr 1.76
N 0.3720 0.3720 0.1559  2 Cr 1.85-1.86
N 0.9654 0.6671 0.0999  1 Cr 1.76
N 0.6280 0.6280 0.6559  2 Cr 1.85-1.86
Cr 0.3298 0.3298 0.5207  4 N 1.76-1.86
Cr 0.6702 0.6702 0.0207  4 N 1.76-1.86
Mg 0.0094 0.3338 0.0258  4 N 2.09-2.14
Mg 0.6662 0.9906 0.5258  4 N 2.09-2.14
Mg 0.3338 0.0094 0.0258  4 N 2.09-2.14
Mg 0.9906 0.6662 0.5258  4 N 2.09-2.14

Computed properties:
Raw total energy in eV/atom: -6.997
ΔH_f (0 K) in eV/f.u.: -5.2
SG: No. 36